w.
DFT (PBE) results for crystalline Ta3Br7 at its relaxed geometry.

a = 10.323 Å, b = 10.323 Å, c = 11.941 Å
α = 90.00°, β = 90.00°, γ = 92.97°
Fractional coordinates of all 40 atoms:
Ta 0.056 0.155 0.891
Ta 0.111 0.889 0.921
Ta 0.155 0.056 0.109
Ta 0.345 0.444 0.609
Ta 0.389 0.611 0.421
Ta 0.444 0.345 0.391
Ta 0.556 0.655 0.609
Ta 0.611 0.389 0.579
Ta 0.655 0.556 0.391
Ta 0.845 0.944 0.891
Ta 0.889 0.111 0.079
Ta 0.944 0.845 0.109
Br 0.032 0.216 0.239
Br 0.086 0.664 0.021
Br 0.121 0.879 0.265
Br 0.127 0.373 0.750
Br 0.164 0.586 0.521
Br 0.216 0.032 0.761
Br 0.244 0.244 0.500
Br 0.256 0.256 0.000
Br 0.284 0.468 0.261
Br 0.336 0.914 0.021
Br 0.373 0.127 0.250
Br 0.379 0.621 0.765
Br 0.414 0.836 0.521
Br 0.468 0.284 0.739
Br 0.532 0.716 0.261
Br 0.586 0.164 0.479
Br 0.621 0.379 0.235
Br 0.627 0.873 0.750
Br 0.664 0.086 0.979
Br 0.716 0.532 0.739
Br 0.744 0.744 0.000
Br 0.756 0.756 0.500
Br 0.784 0.968 0.239
Br 0.836 0.414 0.479
Br 0.873 0.627 0.250
Br 0.879 0.121 0.735
Br 0.914 0.336 0.979
Br 0.968 0.784 0.761

Output
Space group = No. 64

***

x.
DFT (PBE) results for crystalline Ta3Br7 at its relaxed geometry.

a = 9.976 Å, b = 9.976 Å, c = 11.859 Å
α = 90.00°, β = 90.00°, γ = 87.97°
Fractional coordinates of all 40 atoms:
Ta 0.048 0.160 0.893
Ta 0.119 0.881 0.915
Ta 0.160 0.048 0.107
Ta 0.340 0.452 0.607
Ta 0.381 0.619 0.415
Ta 0.452 0.340 0.393
Ta 0.548 0.660 0.607
Ta 0.619 0.381 0.585
Ta 0.660 0.548 0.393
Ta 0.840 0.952 0.893
Ta 0.881 0.119 0.085
Ta 0.952 0.840 0.107
Br 0.031 0.215 0.243
Br 0.105 0.649 0.014
Br 0.113 0.387 0.750
Br 0.138 0.862 0.263
Br 0.149 0.605 0.514
Br 0.215 0.031 0.757
Br 0.248 0.248 0.500
Br 0.252 0.252 0.000
Br 0.285 0.469 0.257
Br 0.351 0.895 0.014
Br 0.362 0.638 0.763
Br 0.387 0.113 0.250
Br 0.395 0.851 0.514
Br 0.469 0.285 0.743
Br 0.531 0.715 0.257
Br 0.605 0.149 0.486
Br 0.613 0.887 0.750
Br 0.638 0.362 0.237
Br 0.649 0.105 0.986
Br 0.715 0.531 0.743
Br 0.748 0.748 0.000
Br 0.752 0.752 0.500
Br 0.785 0.969 0.243
Br 0.851 0.395 0.486
Br 0.862 0.138 0.737
Br 0.887 0.613 0.250
Br 0.895 0.351 0.986
Br 0.969 0.785 0.757

Output
Space group = No. 64

***

Relative energy of each structure, in meV/atom: w 0; x 7.